An optimized crystal structure of NdInAu. Source: the Materials Project, functional GGA-PBE.

Cell: 7.841 7.841 4.222 Å, 90.00 90.00 120.00°
Positions (direct):
1 Nd 0.000 0.587 0.000
2 Nd 0.413 0.413 0.000
3 Nd 0.587 0.000 0.000
4 In 0.000 0.251 0.500
5 In 0.251 0.000 0.500
6 In 0.749 0.749 0.500
7 Au 0.000 0.000 0.000
8 Au 0.333 0.667 0.500
9 Au 0.667 0.333 0.500

Calculated values
- SG: No. 189
- E: -4.327 eV/atom
- Energy relative to the elements: -729 meV per atom